(1)
## Fe8H10O17 (PBE with a Hubbard U)

Data for a relaxed Fe8H10O17 crystal.

Total DFT energy (no corrections): -5.86 eV/atom
Energy above the lowest structure with this stoichiometry: 18 meV per atom
Crystal system: triclinic

POSCAR file:
```
Fe8H10O17
1.0
6.087 0.000 0.000
-0.008 10.554 0.000
-0.145 -0.460 10.586
Fe H O
16 20 34
Cartesian
0.000 0.000 0.000
-0.066 2.294 5.291
-0.111 4.835 8.685
1.343 6.961 10.467
1.434 5.418 5.519
1.406 1.724 8.442
1.489 0.127 3.254
2.872 4.768 8.609
3.031 10.496 0.009
2.975 2.149 5.299
3.120 8.686 5.222
4.434 5.438 5.240
4.503 0.006 3.257
4.446 1.631 8.516
4.436 6.961 10.425
5.871 7.380 3.451
0.043 10.176 5.433
1.311 8.273 6.743
1.395 5.154 2.681
1.533 4.604 0.175
1.577 1.917 0.790
1.623 2.997 3.320
1.854 8.350 2.757
2.477 6.168 3.223
2.691 10.104 7.812
2.738 7.464 8.379
3.326 7.653 1.900
4.457 4.673 0.123
4.447 2.949 3.288
4.560 1.924 0.807
4.478 3.778 7.017
4.675 8.452 7.571
4.765 5.351 2.587
5.406 7.973 6.217
5.893 10.129 7.801
6.021 8.558 1.407
6.014 4.219 4.973
5.952 6.793 9.283
-0.032 0.262 4.700
1.350 8.622 3.549
1.369 5.055 7.449
1.350 8.835 10.395
1.465 2.145 3.754
1.382 0.969 10.538
1.442 1.967 6.510
1.398 4.910 10.165
1.501 5.955 3.224
1.987 8.977 6.727
2.915 4.155 4.994
2.985 0.107 1.981
2.883 6.812 9.100
2.908 0.240 8.512
2.971 6.763 5.483
3.008 0.066 4.672
2.964 2.860 8.885
3.073 7.249 1.043
4.435 8.624 3.673
4.460 6.012 3.232
4.391 4.957 10.091
4.499 2.112 3.777
4.412 0.947 10.575
4.453 4.767 7.310
4.428 8.853 10.336
4.490 2.189 6.532
4.924 8.767 6.680
6.026 7.572 1.331
5.931 2.868 8.889
5.977 6.845 5.303
5.953 0.261 8.505
6.045 0.061 1.990
```

***

(2)
## FeHO2 (PBE with a Hubbard U)

Data for a relaxed FeHO2 crystal.

Total DFT energy (no corrections): -5.98 eV/atom
Crystal system: triclinic

POSCAR file:
```
FeHO2
1.0
6.162 0.000 0.000
0.026 9.225 0.000
0.018 1.171 11.284
Fe H O
16 16 32
Cartesian
0.000 0.000 0.000
6.188 5.311 8.678
0.024 5.964 2.895
0.036 1.580 5.520
1.561 9.212 3.082
1.557 5.110 5.636
1.631 6.942 11.014
1.629 1.820 8.634
3.112 1.900 5.456
3.128 0.035 0.009
3.159 5.452 8.719
3.165 5.972 2.871
4.597 7.027 11.087
4.588 1.806 8.617
4.675 9.393 3.093
4.682 5.131 5.461
0.032 8.025 4.909
0.713 7.465 8.570
1.418 2.671 3.544
1.591 7.603 1.227
1.675 4.119 10.524
1.721 4.108 2.407
2.857 7.294 5.026
3.128 3.457 7.323
3.157 8.746 9.193
3.652 8.772 5.504
4.633 4.222 10.582
4.672 7.579 1.536
4.737 2.944 3.635
6.114 8.886 9.159
6.115 3.170 9.597
6.117 3.587 6.823
6.202 9.872 9.134
0.035 8.975 4.569
0.032 3.216 8.605
0.035 3.691 5.849
0.035 5.535 0.891
0.030 0.461 1.918
0.102 6.264 4.968
0.220 7.230 9.386
1.537 1.850 4.064
1.574 5.628 7.504
1.583 2.299 10.617
1.582 4.614 3.232
1.582 1.446 6.705
1.596 7.814 0.215
1.614 5.033 10.117
1.607 7.289 2.735
3.043 6.333 4.972
3.094 3.825 5.770
3.099 5.430 0.988
3.088 0.449 1.957
3.141 9.782 9.151
3.125 3.237 8.326
3.159 7.231 9.626
3.252 9.131 4.687
4.640 1.416 6.691
4.656 4.765 3.464
4.667 7.368 2.625
4.662 7.843 0.204
4.668 2.345 10.616
4.688 5.552 7.455
4.703 5.110 10.130
4.701 2.030 4.050
```

***

(3)
## FeHO2 (PBE with a Hubbard U)

Data for a relaxed FeHO2 crystal.

Total DFT energy (no corrections): -6.03 eV/atom
Crystal system: orthorhombic

POSCAR file:
```
FeHO2
1.0
3.024 0.000 0.000
0.000 4.653 0.000
0.000 0.000 10.012
Fe H O
4 4 8
Cartesian
0.000 0.947 0.000
0.000 3.706 5.006
1.512 1.366 2.892
1.512 3.286 7.898
0.000 0.712 7.353
0.000 3.941 2.347
1.512 1.604 5.787
1.512 3.048 0.781
0.000 0.216 1.979
0.000 2.115 8.453
0.000 2.538 3.447
0.000 4.437 6.985
1.512 0.211 4.424
1.512 2.084 0.994
1.512 2.569 6.000
1.512 4.442 9.430
```

***

(4)
## FeHO2 (PBE with a Hubbard U)

Data for a relaxed FeHO2 crystal.

Total DFT energy (no corrections): -6.05 eV/atom

POSCAR file:
```
FeHO2
1.0
0.912 -0.774 -2.855
6.543 4.172 0.957
3.240 -5.228 0.774
Fe O H
4 8 4
Cartesian
6.828 -1.330 -0.815
7.138 1.586 0.171
3.557 -3.416 -1.294
3.866 -0.500 -0.308
2.424 -1.881 -0.394
6.976 2.283 -1.748
3.719 -4.113 0.625
5.000 -2.035 -1.208
3.704 0.197 -2.227
5.695 0.205 0.085
6.991 -2.027 1.104
8.271 0.052 -0.729
4.907 3.129 0.718
4.876 -4.185 1.014
7.455 3.398 -1.898
6.512 -3.142 1.253
```

***

What is the formula in the second record?
FeHO2

***

What is the total DFT energy (no corrections) in the first record?
-5.86 eV/atom

***

The highest total DFT energy (no corrections) belongs to which entry?
Fe8H10O17

***

total DFT energy (no corrections) of number 3 (FeHO2)?
-6.03 eV/atom